Entry 1:
Compound: TlN
Source: the Materials Project database
Functional: PBE
Structure: optimized geometry

Geometry as extended XYZ:
```
4
Lattice="2.3824 2.4537 -1.4875 -1.2507 -2.8585 -2.0430 -4.6809 3.3990 -1.8902" Properties=species:S:1:pos:R:3 pbc="T T T"
Tl -0.0412 -1.0867 -1.8584
Tl -1.1706 2.3836 -2.6184
N 0.5878 1.1067 -1.9083
N -2.9637 1.0355 -3.0386
```

Summary:
Its energy relative to the lowest polymorph listed for this composition is 0 meV per atom. As for the space group: P6_3mc, No. 186. Its MP2020-corrected energy is -9.2 eV/f.u.

---

Entry 2:
Compound: Zr2Ni2Sn
Source: the Materials Project database
Functional: PBE
Structure: optimized geometry

Geometry as extended XYZ:
```
20
Lattice="-2.1260 3.1587 -6.0060 3.7964 -4.6631 -3.7963 -5.4212 -4.1843 -0.2817" Properties=species:S:1:pos:R:3 pbc="T T T"
Zr -0.7897 -4.2782 -4.6369
Zr -2.9610 -1.4105 -5.4471
Ni -5.6379 -1.1055 -5.9501
Sn -2.1677 -5.4698 -2.1094
Ni -0.9180 -1.7551 -3.7525
Ni -1.2004 -6.9662 -4.2944
Ni -0.4991 -2.1323 -6.2103
Zr -2.4518 -2.3252 -1.6597
Zr 1.7529 -1.9642 -4.5588
Sn -5.1289 -1.5588 -3.2143
Sn 0.5429 -3.3776 -1.9686
Ni -2.5503 1.2776 -5.7896
Ni 1.8872 -4.5831 -4.1340
Sn -2.4183 0.5333 -3.0734
Zr 1.3643 -1.2286 -8.0054
Ni -3.2516 -3.5563 -3.8738
Ni -2.8327 -3.9335 -6.3315
Zr 0.3062 -0.2758 -1.7969
Zr -1.2989 -3.3634 -8.4243
Zr -0.0824 0.4598 -5.2436
```

Summary:
As for the space group: P4_2/mnm, No. 136.

---

Entry 3:
Compound: TiCr2Te4
Source: the Materials Project database
Functional: PBE
Structure: optimized geometry

Geometry as extended XYZ:
```
7
Lattice="-6.5203 2.2623 -2.7046 -5.2611 -0.5479 -5.1930 -5.7237 -3.8871 1.4937" Properties=species:S:1:pos:R:3 pbc="T T T"
Te -9.8615 -3.1407 -1.4430
Te -12.9079 -0.2395 -6.2609
Te -4.5973 -1.9332 -0.1430
Ti 0.0000 0.0000 0.0000
Cr -10.3095 0.1997 -5.4422
Cr -7.1956 -2.3725 -0.9617
Te -7.6437 0.9679 -4.9608
```

Summary:
Its energy relative to the lowest polymorph listed for this composition is 0 meV per atom. As for the space group: C2/m, No. 12. Its MP2020-corrected energy is -44.0 eV/f.u.

---

Entry 4:
Compound: Na2EuCl5
Source: the Materials Project database
Functional: PBE
Structure: optimized geometry

Geometry as extended XYZ:
```
32
Lattice="7.9141 0.0000 0.0000 0.0000 8.5654 0.0000 0.0000 0.0000 12.3876" Properties=species:S:1:pos:R:3 pbc="T T T"
Eu 3.3288 6.4241 0.0811
Cl 1.4235 6.4241 3.5489
Cl 6.4906 2.1414 8.8388
Cl 2.5336 6.4241 9.7427
Eu 4.5853 2.1414 12.3065
Na 4.2257 4.2957 8.3311
Cl 1.3156 3.8916 7.2918
Cl 7.4771 2.1414 12.3120
Cl 2.6415 0.3911 1.0980
Na 7.6454 4.2957 2.1373
Cl 4.3940 2.1414 6.1182
Na 3.6884 0.0130 4.0566
Cl 5.2726 8.1743 11.2897
Na 7.6454 8.5524 2.1373
Cl 6.5985 8.1743 5.0959
Eu 7.2858 2.1414 6.1127
Cl 6.7970 6.4241 8.4671
Cl 6.5985 4.6738 5.0959
Na 0.2687 0.0130 10.2504
Cl 2.6415 3.8916 1.0980
Cl 2.8399 2.1414 10.1144
Eu 0.6283 6.4241 6.2749
Na 3.6884 4.2697 4.0566
Cl 1.3156 0.3911 7.2918
Cl 0.4370 6.4241 0.0757
Cl 5.3805 2.1414 2.6449
Cl 5.2726 4.6738 11.2897
Cl 3.5201 6.4241 6.2695
Cl 1.1171 2.1414 3.9206
Na 4.2257 8.5524 8.3311
Cl 5.0742 6.4241 2.2732
Na 0.2687 4.2697 10.2504
```

Summary:
As for the space group: Pnma, No. 62. Its MP2020-corrected energy is -39.7 eV/f.u.

---

Entry 5:
Compound: Ba2NF
Source: the Materials Project database
Functional: PBE
Structure: optimized geometry

Geometry as extended XYZ:
```
4
Lattice="-2.1218 -3.4267 -0.2665 0.5795 -2.4967 -3.1219 4.2970 -5.2250 2.3633" Properties=species:S:1:pos:R:3 pbc="T T T"
Ba 1.9451 -8.2796 -0.8566
N 1.3774 -5.5742 -0.5125
Ba 0.8097 -2.8689 -0.1684
F 0.0000 0.0000 0.0000
```

Summary:
Its energy relative to the lowest polymorph listed for this composition is 0 meV per atom. As for the space group: R-3m, No. 166. Its MP2020-corrected energy is -21.4 eV/f.u.

---

Entry 6:
Compound: KCaBi
Source: the Materials Project database
Functional: PBE
Structure: optimized geometry

Geometry as extended XYZ:
```
6
Lattice="-4.0479 1.1406 -3.4316 -3.1765 -3.5831 2.5561 -2.7124 6.1438 5.2416" Properties=species:S:1:pos:R:3 pbc="T T T"
Bi -3.5128 2.5677 4.9972
Bi -2.8118 2.3548 -0.1934
Ca -4.9684 1.8506 2.1830
K -4.3697 5.8835 2.8171
Ca -1.3562 3.0719 2.6208
K -1.9550 -0.9610 1.9867
```

Summary:
As for the space group: P4/nmm, No. 129.

---

Entry 7:
Compound: Nd10Se14O
Source: the Materials Project database
Functional: PBE
Structure: optimized geometry

Geometry as extended XYZ:
```
100
Lattice="-9.5588 -11.4059 3.3261 -8.6417 10.6141 6.7223 3.7181 2.1028 -14.6384" Properties=species:S:1:pos:R:3 pbc="T T T"
Nd -3.9043 6.8160 -6.5347
Se -4.8140 1.7694 0.1904
Se -2.9745 -1.6127 -0.0261
Nd -5.6714 -6.4759 -2.8348
Se -4.3786 9.0073 -8.5979
Nd -6.2733 -5.1442 -8.4275
Se -3.0029 0.9189 -6.7434
Se -7.2953 1.5877 2.9610
Nd -8.2953 4.3885 3.5188
Se -2.5490 -0.0749 -10.1116
Se -4.4960 -3.2368 -3.1180
Nd -3.3644 -2.9546 -9.6672
Se -0.4384 3.0546 -9.3238
Se -9.9533 -4.0817 4.5655
Nd -12.5166 2.5024 -3.7568
Nd -2.7975 -1.7007 -5.2010
Nd -4.6730 -3.1487 2.0570
Nd -9.4363 -6.0407 -3.9771
Se -7.5679 -4.4758 2.0937
Nd -12.9060 -4.2558 5.2558
Se -12.2989 -1.4299 4.6380
Se -13.4574 1.3287 2.6528
O -7.0120 6.1605 -1.4459
Se -11.3836 -0.0474 -4.5727
Se -2.6444 3.6800 -2.5010
Nd -8.2234 9.5266 4.5729
O -7.4705 -4.8494 -3.1440
Nd -7.0380 -9.0083 -6.0287
Se -9.9150 3.6308 -4.9047
Nd -5.1600 4.6183 -1.0344
Se -5.5724 5.3283 -4.3928
Se -9.3913 6.9486 -4.3167
Nd -8.4898 1.0515 -4.5254
Se -2.3644 5.9849 -9.1957
Se -8.0889 -8.6097 -3.1836
Se -6.7016 2.5253 -2.5470
Nd -10.9527 -0.9422 -1.7145
Se -8.9405 -7.6456 3.3657
Nd -5.9144 0.0610 -7.8863
Se -13.3722 -4.2113 2.2665
Se -5.6925 5.3422 -8.5131
Se -6.6329 -1.4211 0.6422
Nd -6.7635 -7.2255 1.2899
Nd -4.4272 2.7529 2.9672
Se -6.1589 9.8464 -0.9872
Se -6.8189 8.0831 -6.3295
Nd -0.7070 2.3760 -4.4339
Se -10.3163 0.4428 1.5112
Nd -15.0929 -0.1363 4.9596
Se -1.2034 -2.6717 -7.6707
Se -4.8733 -2.7576 -7.0453
Nd -5.0803 -0.5678 -1.8177
Se -2.3993 0.3079 -2.9448
Nd -11.0003 -2.5962 -6.0194
Se -8.0197 -9.8456 0.7482
Se -2.4791 4.2367 -6.1554
Se -10.5694 -3.4909 -3.1612
Nd -10.5782 -5.5049 1.9448
Nd -5.5087 10.9868 -6.2906
Se -6.8217 2.5392 -6.6673
Nd -6.4798 7.8065 -3.1737
Nd -7.8170 1.3762 0.0595
Nd -0.3880 0.2080 -8.1152
Nd -12.7651 -1.3854 1.6487
Nd -1.7991 1.6264 -0.3092
Nd -11.0320 6.3325 5.3960
Se -3.9683 8.9635 -4.4825
Se -9.4794 7.1858 2.9361
Se -13.2465 0.9525 -1.0028
Nd -8.9332 4.8542 -2.2074
Se -5.5752 -0.2156 -4.7306
Se 1.1209 0.0110 -10.7371
Se -11.9558 4.8129 -1.7363
Se 0.0974 -0.3736 -5.2377
Se -10.0297 1.8826 -1.8644
Se -10.3143 -2.8522 0.6329
Nd -3.4609 3.0133 -8.8527
Se -7.5043 -7.8921 -8.7255
Nd -6.8855 -3.1193 -4.7695
Nd -7.8540 5.2938 -6.3799
Se -8.0155 -1.1398 -2.4622
Se -5.0712 -5.1574 -0.1992
O -9.1003 -0.3959 5.0242
Se -15.3568 -2.7890 6.2715
Nd -7.8888 -3.7619 -0.9946
Nd -4.5401 2.5737 -4.6802
Se -5.7960 5.3219 2.0671
Se -8.7065 -4.4909 -6.7311
Nd -11.6850 3.0118 0.6111
Se -5.8069 -6.2603 -5.7307
Se -8.4259 -1.0960 -6.5775
Se -13.4678 2.0847 6.0793
Nd -7.4748 7.3632 0.6319
Se -12.2137 -6.9699 4.2517
Se -8.8169 4.1769 0.6173
O 0.0000 0.0000 0.0000
Se -11.2983 3.9952 3.3879
Se -9.0097 -6.4097 -0.5661
Nd -10.9523 1.1464 4.6127
Nd -8.6374 -1.5985 2.9464
```

Summary:
As for the space group: I4_1/acd, No. 142. Its MP2020-corrected energy is -152.0 eV/f.u.

---

Entry 8:
Compound: Li5Nb2Cu3O10
Source: the Materials Project database
Functional: PBE
Structure: optimized geometry

Geometry as extended XYZ:
```
20
Lattice="5.2691 0.0000 0.0000 -1.6048 5.5519 0.0000 -2.0804 -2.1160 7.1320" Properties=species:S:1:pos:R:3 pbc="T T T"
Li -1.0144 4.0266 2.6776
Li 0.7919 1.7180 3.5660
Cu 1.1914 0.4700 0.7112
Li 2.5982 -0.5906 4.4544
O 1.8028 1.0475 5.3554
O -0.9616 0.7317 3.9263
Li 1.6250 3.3120 1.3858
O -1.2244 1.6198 6.6401
Li -0.0412 0.1240 5.7462
O -0.2189 2.3885 1.7766
Nb 3.6400 0.8922 2.1159
O 2.8083 1.8161 0.4919
O 1.9669 -0.0430 2.4848
O 2.5454 2.7043 3.2057
Cu -0.8024 2.7760 0.0000
Cu 0.3924 2.9660 6.4208
O -1.3985 -1.5566 5.8985
O 2.9823 4.9925 1.2335
Nb -2.0562 2.5438 5.0161
O -0.3830 3.4790 4.6472
```

Summary:
As for the space group: P-1, No. 2. Its MP2020-corrected energy is -134.6 eV/f.u.

---

Entry 9:
Compound: Li3GeO4
Source: the Materials Project database
Functional: PBE
Structure: optimized geometry

Geometry as extended XYZ:
```
16
Lattice="0.0000 0.0000 -4.9221 0.0000 -5.5955 0.0000 -6.4321 0.0000 0.0000" Properties=species:S:1:pos:R:3 pbc="T T T"
Li -1.5720 -0.9396 -4.8670
O -4.6822 -0.9775 -1.9663
O -3.2160 -1.8343 -4.2478
O -1.7499 -0.9775 -1.9663
Li 0.0000 -1.8560 -2.4092
O 0.0000 -3.7613 -1.7868
Li -3.2160 -3.7395 -4.8703
Li -4.7881 -4.6559 -2.4059
O -3.2160 -3.5433 -1.9400
O -4.9659 -4.6180 -4.4274
O 0.0000 -2.0522 -4.4010
Ge -3.2160 -1.8528 -2.4652
Li -1.6440 -4.6559 -2.4059
Li -4.8600 -0.9396 -4.8670
Ge 0.0000 -3.7428 -0.0041
O -1.4661 -4.6180 -4.4274
```

Summary:
As for the space group: Pmn2_1, No. 31. Its MP2020-corrected energy is -46.8 eV/f.u.

---

Entry 10:
Compound: Li2MgAg
Source: the Materials Project database
Functional: PBE
Structure: optimized geometry

Geometry as extended XYZ:
```
4
Lattice="-3.2997 0.0000 -3.2997 3.2997 -3.2997 0.0000 -3.2997 -3.2997 0.0000" Properties=species:S:1:pos:R:3 pbc="T T T"
Ag 0.0000 0.0000 0.0000
Li 0.0000 -3.2997 0.0000
Li -1.6499 -1.6499 -1.6499
Mg -1.6499 -4.9496 -1.6499
```

Summary:
As for the space group: F-43m, No. 216.

---

Entry 11:
Compound: PbSe2O5
Source: the Materials Project database
Functional: PBE
Structure: optimized geometry

Geometry as extended XYZ:
```
32
Lattice="-4.2799 -8.3046 -2.5520 3.6331 -2.3467 1.5436 -1.4315 -3.0442 12.3072" Properties=species:S:1:pos:R:3 pbc="T T T"
Se -3.2499 -7.6872 -0.9611
O 0.6608 -7.2543 11.2136
O -3.9431 -8.9106 5.9478
O -0.8702 -10.8076 1.4183
O -1.0799 -9.5663 11.2823
O -0.5903 -8.9656 6.0385
O -1.4030 -4.6982 11.8916
O -2.7002 -8.1422 2.7534
Pb -0.5406 -6.2532 1.3472
Se -3.0664 -7.4644 5.7287
Se 0.9881 -6.2311 5.5702
O 0.1945 -8.8749 8.6335
Se -0.4637 -9.5397 4.2447
Pb -3.0397 -11.2356 6.4375
O 1.8648 -4.7849 5.3511
Se -1.1769 -11.0568 10.3999
Se 1.1716 -6.0084 12.2600
O -2.2729 -4.8206 2.6654
O -1.2081 -2.8880 9.8806
O -1.4881 -4.7299 5.2605
Pb -1.5377 -7.4423 9.9517
O -0.3386 -2.9822 6.9905
O -1.7398 -10.7134 4.3084
Se -1.6146 -4.1559 7.0542
O -2.7392 -6.4413 0.0853
O -0.9985 -4.1293 0.0166
O -3.2517 -9.3455 9.0050
O 0.6219 -5.5534 8.5455
Pb 0.9614 -2.4599 4.8614
Se -0.9014 -2.6387 0.8990
O -0.6753 -8.9974 -0.5927
O 1.1733 -4.3500 2.2940
```

Summary:
As for the space group: P2_1/c, No. 14. Its MP2020-corrected energy is -46.3 eV/f.u.

---

Entry 12:
Compound: ZrCl2
Source: the Materials Project database
Functional: PBE
Structure: optimized geometry

Geometry as extended XYZ:
```
18
Lattice="4.8533 -6.6069 0.0000 4.8533 6.6069 0.0000 -4.1410 0.0000 7.0751" Properties=species:S:1:pos:R:3 pbc="T T T"
Cl 2.7961 -4.0232 1.5730
Cl 6.9522 -0.9506 2.2118
Cl 2.1948 0.5211 6.0288
Zr 1.1827 -1.7650 0.7244
Zr 1.8162 1.2997 0.2260
Cl 1.4752 -3.0726 6.5201
Cl 0.6553 -1.4735 3.1823
Cl 3.3706 -0.5211 1.0464
Cl 1.3648 1.9946 2.6243
Cl 4.9102 1.4735 3.8928
Zr 3.7493 -1.2997 6.8491
Zr 6.1521 -0.4654 4.9590
Cl 2.7694 4.0232 5.5021
Zr -0.5866 0.4654 2.1161
Cl -1.3868 0.9506 4.8634
Zr 4.3828 1.7650 6.3508
Cl 4.2007 -1.9946 4.4509
Cl 4.0903 3.0726 0.5550
```

Summary:
As for the space group: R-3, No. 148. Its MP2020-corrected energy is -18.2 eV/f.u.

---

For the records above, the corresponding formation energy values read 0.733 -0.575 -0.605 -2.190 -1.817 -0.690 -2.015 -2.153 -2.083 -0.184 -1.363 -1.980 eV per atom.